Record 1
! BaCaSi GGA-PBE optimized geometry; values from VASP
! Corrected total energy (MP2020 scheme)   -3.025 eV per atom
! Theoretical density   3.4 g cm⁻³
! Crystal system   cubic
! E_form   0.091 eV/atom
! Energy   -3.049 eV/atom
! Energy above the most stable polymorph in this dataset   1.46 eV/f.u.
&SYSTEM
  ibrav = 0, nat = 3, ntyp = 3
/
ATOMIC_SPECIES
Ba 137.33 Ba.upf
Ca 40.08 Ca.upf
Si 28.09 Si.upf
CELL_PARAMETERS angstrom
0.000 3.682 3.682
3.682 0.000 3.682
3.682 3.682 0.000
ATOMIC_POSITIONS crystal
Ba 0.000 0.000 0.000
Ca 0.750 0.750 0.750
Si 0.500 0.500 0.500

=====

Record 2
! PrLuSe3 GGA-PBE optimized geometry; values from VASP
! Corrected total energy (MP2020 scheme)   -6.116 eV per atom
! Theoretical density   6.9 g cm⁻³
! Crystal system   orthorhombic
! E_form   -2.158 eV/atom
! Energy   -5.833 eV/atom
&SYSTEM
  ibrav = 0, nat = 10, ntyp = 3
/
ATOMIC_SPECIES
Pr 140.91 Pr.upf
Lu 174.97 Lu.upf
Se 78.96 Se.upf
CELL_PARAMETERS angstrom
2.025 -6.579 0.000
2.025 6.579 0.000
0.000 0.000 9.993
ATOMIC_POSITIONS crystal
Pr 0.248 0.752 0.750
Pr 0.752 0.248 0.250
Lu 0.500 0.500 0.000
Lu 0.500 0.500 0.500
Se 0.143 0.857 0.061
Se 0.143 0.857 0.439
Se 0.415 0.585 0.250
Se 0.585 0.415 0.750
Se 0.857 0.143 0.561
Se 0.857 0.143 0.939

=====

Record 3
! Er5Zr3Ni16As12 GGA-PBE optimized geometry; values from VASP
! Theoretical density   8.9 g cm⁻³
! Crystal system   hexagonal
! E_form   -0.823 eV/atom
! Energy   -6.291 eV/atom
&SYSTEM
  ibrav = 0, nat = 36, ntyp = 4
/
ATOMIC_SPECIES
Er 167.26 Er.upf
Zr 91.22 Zr.upf
Ni 58.69 Ni.upf
As 74.92 As.upf
CELL_PARAMETERS angstrom
12.750 0.000 0.000
-6.375 11.042 0.000
0.000 0.000 3.911
ATOMIC_POSITIONS crystal
Er 0.000 0.817 0.000
Er 0.183 0.183 0.000
Er 0.333 0.667 0.500
Er 0.667 0.333 0.500
Er 0.817 0.000 0.000
Zr 0.000 0.438 0.500
Zr 0.438 0.000 0.500
Zr 0.562 0.562 0.500
Ni 0.000 0.000 0.500
Ni 0.000 0.276 0.000
Ni 0.121 0.639 0.000
Ni 0.183 0.376 0.500
Ni 0.193 0.817 0.500
Ni 0.276 0.000 0.000
Ni 0.361 0.483 0.000
Ni 0.376 0.183 0.500
Ni 0.483 0.361 0.000
Ni 0.517 0.879 0.000
Ni 0.624 0.807 0.500
Ni 0.639 0.121 0.000
Ni 0.724 0.724 0.000
Ni 0.807 0.624 0.500
Ni 0.817 0.193 0.500
Ni 0.879 0.517 0.000
As 0.000 0.178 0.500
As 0.000 0.646 0.500
As 0.173 0.480 0.000
As 0.178 0.000 0.500
As 0.307 0.827 0.000
As 0.354 0.354 0.500
As 0.480 0.173 0.000
As 0.520 0.693 0.000
As 0.646 0.000 0.500
As 0.693 0.520 0.000
As 0.822 0.822 0.500
As 0.827 0.307 0.000

=====

Record 4
! ZnSb2O4 GGA-PBE optimized geometry; values from VASP
! Corrected total energy (MP2020 scheme)   -5.755 eV per atom
! Theoretical density   5.5 g cm⁻³
! Crystal system   monoclinic
! E_form   -1.568 eV/atom
! Energy   -5.362 eV/atom
! Energy above the most stable polymorph in this dataset   1.28 eV/f.u.
&SYSTEM
  ibrav = 0, nat = 56, ntyp = 3
/
ATOMIC_SPECIES
Zn 65.41 Zn.upf
Sb 121.76 Sb.upf
O 16.00 O.upf
CELL_PARAMETERS angstrom
6.426 -3.274 0.000
6.426 3.274 0.000
-5.085 0.000 21.268
ATOMIC_POSITIONS crystal
Zn 0.000 0.000 0.000
Zn 0.004 0.004 0.619
Zn 0.141 0.141 0.910
Zn 0.295 0.295 0.356
Zn 0.325 0.325 0.797
Zn 0.551 0.551 0.554
Zn 0.760 0.760 0.270
Zn 0.943 0.943 0.137
Sb 0.038 0.529 0.530
Sb 0.040 0.540 0.025
Sb 0.045 0.045 0.446
Sb 0.249 0.763 0.271
Sb 0.294 0.294 0.188
Sb 0.342 0.842 0.769
Sb 0.400 0.400 0.671
Sb 0.501 0.501 0.945
Sb 0.529 0.038 0.530
Sb 0.540 0.040 0.025
Sb 0.584 0.584 0.118
Sb 0.740 0.740 0.404
Sb 0.763 0.249 0.271
Sb 0.806 0.806 0.686
Sb 0.836 0.836 0.848
Sb 0.842 0.342 0.769
O 0.057 0.057 0.221
O 0.063 0.063 0.822
O 0.102 0.102 0.709
O 0.131 0.520 0.720
O 0.160 0.745 0.065
O 0.173 0.628 0.188
O 0.219 0.679 0.588
O 0.269 0.269 0.591
O 0.279 0.279 0.084
O 0.293 0.293 0.966
O 0.302 0.302 0.471
O 0.311 0.862 0.960
O 0.328 0.870 0.505
O 0.382 0.382 0.287
O 0.470 0.470 0.852
O 0.478 0.994 0.833
O 0.520 0.131 0.720
O 0.533 0.968 0.342
O 0.621 0.621 0.214
O 0.628 0.173 0.188
O 0.679 0.219 0.588
O 0.684 0.684 0.727
O 0.708 0.708 0.599
O 0.732 0.732 0.110
O 0.745 0.160 0.065
O 0.851 0.851 0.939
O 0.862 0.311 0.960
O 0.870 0.328 0.505
O 0.893 0.893 0.453
O 0.915 0.915 0.293
O 0.968 0.533 0.342
O 0.994 0.478 0.833

=====

Record 5
! EuIn2As2 GGA-PBE optimized geometry; values from VASP
! Theoretical density   6.2 g cm⁻³
! Crystal system   hexagonal
! E_form   -0.609 eV/atom
! Energy   -5.625 eV/atom
&SYSTEM
  ibrav = 0, nat = 10, ntyp = 3
/
ATOMIC_SPECIES
Eu 151.96 Eu.upf
In 114.82 In.upf
As 74.92 As.upf
CELL_PARAMETERS angstrom
4.320 0.000 0.000
-2.160 3.741 0.000
0.000 0.000 17.753
ATOMIC_POSITIONS crystal
Eu 0.000 0.000 0.000
Eu 0.000 0.000 0.500
In 0.333 0.667 0.170
In 0.333 0.667 0.330
In 0.667 0.333 0.670
In 0.667 0.333 0.830
As 0.333 0.667 0.604
As 0.333 0.667 0.896
As 0.667 0.333 0.104
As 0.667 0.333 0.396

=====

Record 6
! LiB11 GGA-PBE optimized geometry; values from VASP
! Theoretical density   2.4 g cm⁻³
! Crystal system   cubic
! E_form   0.264 eV/atom
! Energy   -6.018 eV/atom
! Energy above the most stable polymorph in this dataset   1.61 eV/f.u.
&SYSTEM
  ibrav = 0, nat = 12, ntyp = 2
/
ATOMIC_SPECIES
Li 6.94 Li.upf
B 10.81 B.upf
CELL_PARAMETERS angstrom
0.000 3.498 3.498
3.498 0.000 3.498
3.498 3.498 0.000
ATOMIC_POSITIONS crystal
Li 0.000 0.000 0.000
B 0.343 0.343 0.343
B 0.343 0.343 0.971
B 0.343 0.971 0.343
B 0.500 0.500 0.500
B 0.571 0.571 0.929
B 0.571 0.929 0.571
B 0.571 0.929 0.929
B 0.929 0.571 0.571
B 0.929 0.571 0.929
B 0.929 0.929 0.571
B 0.971 0.343 0.343

=====

Record 7
! RbBeN3 GGA-PBE optimized geometry; values from VASP
! Corrected total energy (MP2020 scheme)   -5.092 eV per atom
! Theoretical density   2.0 g cm⁻³
! Crystal system   orthorhombic
! E_form   0.854 eV/atom
! Energy   -4.875 eV/atom
&SYSTEM
  ibrav = 0, nat = 80, ntyp = 3
/
ATOMIC_SPECIES
Rb 85.47 Rb.upf
Be 9.01 Be.upf
N 14.01 N.upf
CELL_PARAMETERS angstrom
8.430 0.000 0.000
0.000 15.126 0.000
0.000 0.000 14.111
ATOMIC_POSITIONS crystal
Rb 0.077 0.022 0.248
Rb 0.077 0.478 0.748
Rb 0.225 0.692 0.994
Rb 0.225 0.808 0.494
Rb 0.275 0.192 0.994
Rb 0.275 0.308 0.494
Rb 0.423 0.522 0.248
Rb 0.423 0.978 0.748
Rb 0.577 0.022 0.252
Rb 0.577 0.478 0.752
Rb 0.725 0.692 0.506
Rb 0.725 0.808 0.006
Rb 0.775 0.192 0.506
Rb 0.775 0.308 0.006
Rb 0.923 0.522 0.252
Rb 0.923 0.978 0.752
Be 0.027 0.249 0.271
Be 0.027 0.251 0.771
Be 0.148 0.527 0.469
Be 0.148 0.973 0.969
Be 0.352 0.027 0.469
Be 0.352 0.473 0.969
Be 0.473 0.749 0.271
Be 0.473 0.751 0.771
Be 0.527 0.249 0.229
Be 0.527 0.251 0.729
Be 0.648 0.527 0.031
Be 0.648 0.973 0.531
Be 0.852 0.027 0.031
Be 0.852 0.473 0.531
Be 0.973 0.749 0.229
Be 0.973 0.751 0.729
N 0.004 0.191 0.355
N 0.004 0.309 0.855
N 0.020 0.168 0.686
N 0.020 0.332 0.186
N 0.049 0.617 0.446
N 0.049 0.883 0.946
N 0.108 0.224 0.663
N 0.108 0.276 0.163
N 0.175 0.040 0.880
N 0.175 0.460 0.380
N 0.248 0.515 0.569
N 0.248 0.985 0.069
N 0.252 0.015 0.569
N 0.252 0.485 0.069
N 0.325 0.540 0.880
N 0.325 0.960 0.380
N 0.392 0.724 0.663
N 0.392 0.776 0.163
N 0.451 0.117 0.446
N 0.451 0.383 0.946
N 0.480 0.668 0.686
N 0.480 0.832 0.186
N 0.496 0.691 0.355
N 0.496 0.809 0.855
N 0.504 0.191 0.145
N 0.504 0.309 0.645
N 0.520 0.168 0.814
N 0.520 0.332 0.314
N 0.549 0.617 0.054
N 0.549 0.883 0.554
N 0.608 0.224 0.837
N 0.608 0.276 0.337
N 0.675 0.040 0.620
N 0.675 0.460 0.120
N 0.748 0.515 0.931
N 0.748 0.985 0.431
N 0.752 0.015 0.931
N 0.752 0.485 0.431
N 0.825 0.540 0.620
N 0.825 0.960 0.120
N 0.892 0.724 0.837
N 0.892 0.776 0.337
N 0.951 0.117 0.054
N 0.951 0.383 0.554
N 0.980 0.668 0.814
N 0.980 0.832 0.314
N 0.996 0.691 0.145
N 0.996 0.809 0.645

=====

Record 8
! NdAl3Ni2 GGA-PBE optimized geometry; values from VASP
! Theoretical density   5.7 g cm⁻³
! Crystal system   hexagonal
! E_form   -0.611 eV/atom
! Energy   -5.205 eV/atom
&SYSTEM
  ibrav = 0, nat = 6, ntyp = 3
/
ATOMIC_SPECIES
Nd 144.24 Nd.upf
Al 26.98 Al.upf
Ni 58.69 Ni.upf
CELL_PARAMETERS angstrom
5.350 0.000 0.000
-2.675 4.633 0.000
0.000 0.000 4.012
ATOMIC_POSITIONS crystal
Nd 0.000 0.000 0.000
Al 0.000 0.500 0.500
Al 0.500 0.000 0.500
Al 0.500 0.500 0.500
Ni 0.333 0.667 0.000
Ni 0.667 0.333 0.000

=====

Record 9
! Cu3As GGA-PBE optimized geometry; values from VASP
! Theoretical density   8.5 g cm⁻³
! Crystal system   cubic
! E_form   0.043 eV/atom
! Energy   -4.197 eV/atom
&SYSTEM
  ibrav = 0, nat = 4, ntyp = 2
/
ATOMIC_SPECIES
Cu 63.55 Cu.upf
As 74.92 As.upf
CELL_PARAMETERS angstrom
3.737 0.000 0.000
0.000 3.737 0.000
0.000 0.000 3.737
ATOMIC_POSITIONS crystal
Cu 0.000 0.000 0.500
Cu 0.000 0.500 0.000
Cu 0.500 0.000 0.000
As 0.500 0.500 0.500

=====

Record 10
! Gd2ZnAg GGA-PBE optimized geometry; values from VASP
! Theoretical density   8.3 g cm⁻³
! Crystal system   tetragonal
! E_form   -0.342 eV/atom
! Energy   -8.403 eV/atom
&SYSTEM
  ibrav = 0, nat = 4, ntyp = 3
/
ATOMIC_SPECIES
Gd 157.25 Gd.upf
Zn 65.41 Zn.upf
Ag 107.87 Ag.upf
CELL_PARAMETERS angstrom
3.663 0.000 0.000
0.000 3.663 0.000
0.000 0.000 7.293
ATOMIC_POSITIONS crystal
Gd 0.000 0.000 0.240
Gd 0.000 0.000 0.760
Zn 0.500 0.500 0.000
Ag 0.500 0.500 0.500

=====

Record 11
! ErCo10Mo2 GGA-PBE optimized geometry; values from VASP
! Theoretical density   9.6 g cm⁻³
! Crystal system   orthorhombic
! E_form   -0.041 eV/atom
! Energy   -7.528 eV/atom
&SYSTEM
  ibrav = 0, nat = 13, ntyp = 3
/
ATOMIC_SPECIES
Er 167.26 Er.upf
Co 58.93 Co.upf
Mo 95.94 Mo.upf
CELL_PARAMETERS angstrom
-2.334 4.197 4.207
2.334 -4.197 4.207
2.334 4.197 -4.207
ATOMIC_POSITIONS crystal
Er 0.000 0.000 0.000
Co 0.000 0.000 0.500
Co 0.000 0.500 0.000
Co 0.210 0.500 0.710
Co 0.218 0.718 0.500
Co 0.359 0.000 0.359
Co 0.500 0.000 0.000
Co 0.500 0.500 0.500
Co 0.641 0.000 0.641
Co 0.782 0.282 0.500
Co 0.790 0.500 0.290
Mo 0.358 0.358 0.000
Mo 0.642 0.642 0.000

=====

Record 12
! Nb2FeSe4 GGA-PBE optimized geometry; values from VASP
! Corrected total energy (MP2020 scheme)   -6.929 eV per atom
! Theoretical density   6.5 g cm⁻³
! Crystal system   orthorhombic
! E_form   -0.835 eV/atom
! Energy   -6.659 eV/atom
&SYSTEM
  ibrav = 0, nat = 28, ntyp = 3
/
ATOMIC_SPECIES
Nb 92.91 Nb.upf
Fe 55.84 Fe.upf
Se 78.96 Se.upf
CELL_PARAMETERS angstrom
3.618 -6.263 0.000
3.618 6.263 0.000
0.000 0.000 12.495
ATOMIC_POSITIONS crystal
Nb 0.000 0.000 0.250
Nb 0.000 0.000 0.750
Nb 0.051 0.526 0.750
Nb 0.474 0.526 0.750
Nb 0.474 0.949 0.750
Nb 0.526 0.051 0.250
Nb 0.526 0.474 0.250
Nb 0.949 0.474 0.250
Fe 0.000 0.000 0.000
Fe 0.000 0.000 0.500
Fe 0.334 0.666 0.250
Fe 0.666 0.334 0.750
Se 0.168 0.337 0.122
Se 0.168 0.337 0.378
Se 0.169 0.831 0.122
Se 0.169 0.831 0.378
Se 0.333 0.667 0.600
Se 0.333 0.667 0.900
Se 0.337 0.168 0.622
Se 0.337 0.168 0.878
Se 0.663 0.832 0.122
Se 0.663 0.832 0.378
Se 0.667 0.333 0.100
Se 0.667 0.333 0.400
Se 0.831 0.169 0.622
Se 0.831 0.169 0.878
Se 0.832 0.663 0.622
Se 0.832 0.663 0.878